Record 1
Computed, not measured: an optimized crystal structure of CaB2O4 at the PBE level of DFT.

Structure (extended XYZ):
```
28
Lattice="11.645 0.000 0.000 0.000 4.332 0.000 0.000 0.000 6.354" Properties=species:S:1:pos:R:3 pbc="T T T"
Ca 0.000 0.951 1.588
Ca 0.000 3.381 4.765
Ca 5.823 1.215 4.765
Ca 5.823 3.117 1.588
B 2.240 1.414 3.969
B 2.240 2.918 0.792
B 3.583 0.752 0.792
B 3.583 3.580 3.969
B 8.062 0.752 2.385
B 8.062 3.580 5.562
B 9.406 1.414 5.562
B 9.406 2.918 2.385
O 1.001 0.983 3.731
O 1.001 3.349 0.554
O 2.425 1.524 0.946
O 2.425 2.808 4.123
O 3.398 0.642 4.123
O 3.398 3.690 0.946
O 4.821 1.183 0.554
O 4.821 3.149 3.731
O 6.824 1.183 2.623
O 6.824 3.149 5.800
O 8.247 0.642 5.408
O 8.247 3.690 2.231
O 9.221 1.524 2.231
O 9.221 2.808 5.408
O 10.644 0.983 5.800
O 10.644 3.349 2.623
```

Computed properties:
E above lowest polymorph ... 0.0133 eV/atom
Electronic total energy ... -7.7450 eV per atom
Crystal system ... orthorhombic
ΔE_f ... -3.115 eV per atom
Space-group type ... Pbcn (60)

=====

Record 2
Computed, not measured: an optimized crystal structure of K3AsCl6 at the PBE level of DFT.

Structure (extended XYZ):
```
10
Lattice="0.000 5.475 5.475 5.475 0.000 5.475 5.475 5.475 0.000" Properties=species:S:1:pos:R:3 pbc="T T T"
K 0.000 0.000 0.000
K 2.737 2.737 2.737
K 8.212 8.212 8.212
As 5.475 5.475 5.475
Cl 5.475 5.475 2.970
Cl 5.475 2.970 5.475
Cl 7.979 5.475 5.475
Cl 2.970 5.475 5.475
Cl 5.475 7.979 5.475
Cl 5.475 5.475 7.979
```

Computed properties:
Electronic total energy ... -3.3040 eV per atom
Crystal system ... cubic
ΔE_f ... -1.764 eV per atom
Space-group type ... Fm-3m (225)

=====

Record 3
Computed, not measured: an optimized crystal structure of CaMnBi2 at the PBE level of DFT.

Structure (extended XYZ):
```
16
Lattice="-0.964 -3.212 -5.501 5.854 1.679 -2.003 6.576 -9.762 0.777" Properties=species:S:1:pos:R:3 pbc="T T T"
Bi 6.716 -6.838 -6.612
Bi 1.153 -4.217 -5.286
Bi 6.903 -9.524 -3.190
Bi 10.312 -7.080 -1.442
Bi 4.562 -1.770 -3.535
Bi 4.749 -4.458 -0.114
Bi 4.271 -6.071 -2.860
Bi 7.194 -5.224 -3.866
Ca 2.062 -3.538 -2.067
Ca 4.506 -4.305 -5.819
Ca 6.959 -6.991 -0.908
Ca 9.404 -7.758 -4.659
Mn 9.262 -9.725 -1.600
Mn 5.613 0.875 -3.376
Mn 2.204 -1.570 -5.126
Mn 5.854 -12.171 -3.349
```

Computed properties:
Electronic total energy ... -5.0010 eV per atom
ΔE_f ... -0.264 eV per atom

=====

Record 4
Computed, not measured: an optimized crystal structure of MgZnAg2 at the PBE level of DFT.

Structure (extended XYZ):
```
4
Lattice="0.000 3.256 3.256 3.256 0.000 3.256 3.256 3.256 0.000" Properties=species:S:1:pos:R:3 pbc="T T T"
Mg 0.000 0.000 0.000
Zn 3.256 3.256 3.256
Ag 1.628 1.628 1.628
Ag 4.885 4.885 4.885
```

Computed properties:
Electronic total energy ... -2.2966 eV per atom
Crystal system ... cubic
ΔE_f ... -0.165 eV per atom
Space-group type ... Fm-3m (225)

=====

Record 5
Computed, not measured: an optimized crystal structure of Sr2YCu3Pb2O8 at the PBE level of DFT.

Structure (extended XYZ):
```
32
Lattice="5.437 0.000 0.000 0.000 15.964 0.000 0.000 0.000 5.483" Properties=species:S:1:pos:R:3 pbc="T T T"
Sr 1.358 3.530 0.006
Sr 1.358 12.435 5.477
Sr 4.079 3.530 2.736
Sr 4.079 12.435 2.747
Y 1.360 0.000 0.000
Y 4.077 0.000 2.741
Cu 1.278 7.982 0.000
Cu 1.360 1.677 2.744
Cu 1.360 14.288 2.739
Cu 4.077 1.677 5.481
Cu 4.077 14.288 0.002
Cu 4.159 7.982 2.741
Pb 1.321 6.202 2.693
Pb 1.321 9.762 2.790
Pb 4.116 6.202 0.049
Pb 4.116 9.762 5.434
O 0.000 1.465 4.112
O 0.000 1.479 1.371
O 0.000 14.485 4.112
O 0.000 14.499 1.371
O 1.215 6.138 0.309
O 1.215 9.827 5.174
O 1.377 4.015 2.784
O 1.377 11.949 2.699
O 2.719 1.457 4.112
O 2.719 1.476 1.371
O 2.719 14.489 4.112
O 2.719 14.507 1.371
O 4.060 4.015 5.440
O 4.060 11.949 0.043
O 4.222 6.138 2.432
O 4.222 9.827 3.051
```

Computed properties:
E above lowest polymorph ... 0.0001 eV/atom
Electronic total energy ... -6.0430 eV per atom
Crystal system ... orthorhombic
ΔE_f ... -2.064 eV per atom
Space-group type ... P222_1 (17)

=====

Record 6
Computed, not measured: an optimized crystal structure of TiCr2S4 at the PBE level of DFT.

Structure (extended XYZ):
```
7
Lattice="6.396 -1.724 0.000 6.396 1.724 0.000 -2.932 0.000 5.380" Properties=species:S:1:pos:R:3 pbc="T T T"
Ti 0.000 0.000 0.000
Cr 2.584 0.000 1.319
Cr 7.276 0.000 4.061
S -0.721 0.000 4.323
S 2.625 0.000 3.782
S 7.235 0.000 1.598
S 10.581 0.000 1.058
```

Computed properties:
E above lowest polymorph ... 0.0072 eV/atom
Electronic total energy ... -7.1626 eV per atom
Crystal system ... monoclinic
ΔE_f ... -1.200 eV per atom
Space-group type ... C2/m (12)

=====

Record 7
Computed, not measured: an optimized crystal structure of NaPrHf2O6 at the PBE level of DFT.

Structure (extended XYZ):
```
10
Lattice="0.000 4.103 4.103 4.103 0.000 4.103 4.103 4.103 0.000" Properties=species:S:1:pos:R:3 pbc="T T T"
Na 0.000 0.000 0.000
Pr 4.103 4.103 4.103
Hf 2.052 2.052 2.052
Hf 6.155 6.155 6.155
O 2.052 2.052 0.000
O 2.052 0.000 2.052
O 4.103 2.052 2.052
O 0.000 2.052 2.052
O 2.052 4.103 2.052
O 2.052 2.052 4.103
```

Computed properties:
Electronic total energy ... -8.6934 eV per atom
Crystal system ... cubic
ΔE_f ... -3.535 eV per atom
Space-group type ... Fm-3m (225)

=====

Record 8
Computed, not measured: an optimized crystal structure of TbPO4 at the PBE level of DFT.

Structure (extended XYZ):
```
24
Lattice="6.337 0.000 0.000 0.000 6.851 0.000 -4.712 0.000 6.479" Properties=species:S:1:pos:R:3 pbc="T T T"
Tb -0.141 1.050 1.838
Tb -2.497 2.376 5.078
Tb 4.123 4.475 1.401
Tb 1.766 5.801 4.641
P 1.038 4.530 1.282
P -1.318 5.746 4.522
P 2.944 1.105 1.958
P 0.588 2.321 5.197
O -2.155 4.540 3.989
O 0.202 5.736 0.750
O -0.011 3.434 1.610
O -2.367 6.842 4.850
O 2.050 4.121 0.180
O -0.306 6.156 3.419
O 2.008 1.440 0.779
O -0.349 1.985 4.019
O 1.974 4.866 2.461
O -0.382 5.410 5.700
O 1.932 0.695 3.060
O -0.425 2.730 6.300
O 3.992 0.009 1.629
O 1.636 3.416 4.869
O 1.424 1.115 5.730
O 3.780 2.311 2.490
```

Computed properties:
Electronic total energy ... -7.9764 eV per atom
Crystal system ... monoclinic
ΔE_f ... -3.461 eV per atom
Space-group type ... P2_1/c (14)

=====

Record 9
Computed, not measured: an optimized crystal structure of Sm2Au2O5 at the PBE level of DFT.

Structure (extended XYZ):
```
9
Lattice="4.211 0.000 0.000 0.000 4.211 0.000 0.000 0.000 7.146" Properties=species:S:1:pos:R:3 pbc="T T T"
Sm 0.000 0.000 0.000
Sm 0.000 0.000 3.573
Au 2.106 2.106 1.374
Au 2.106 2.106 5.772
O 0.000 2.106 1.623
O 0.000 2.106 5.523
O 2.106 0.000 1.623
O 2.106 0.000 5.523
O 2.106 2.106 3.573
```

Computed properties:
Electronic total energy ... -5.8852 eV per atom
Crystal system ... tetragonal
ΔE_f ... -1.742 eV per atom
Space-group type ... P4/mmm (123)

=====

Record 10
Computed, not measured: an optimized crystal structure of La4Cu3Sb8 at the PBE level of DFT.

Structure (extended XYZ):
```
15
Lattice="-3.141 3.141 10.100 3.141 -3.141 10.100 3.141 3.141 -10.100" Properties=species:S:1:pos:R:3 pbc="T T T"
La 1.574 1.574 -2.433
La 1.566 -1.566 12.534
La 1.566 1.566 7.667
La -1.566 1.566 12.534
Cu 3.141 0.000 0.000
Cu 0.000 3.141 0.000
Cu 0.000 0.000 10.100
Sb 4.728 1.553 -1.430
Sb 0.000 0.000 5.054
Sb 3.141 0.000 5.050
Sb 1.553 1.553 1.430
Sb -1.587 1.587 8.670
Sb 0.000 3.141 5.050
Sb 0.000 0.000 15.147
Sb 1.587 1.587 11.531
```

Computed properties:
Electronic total energy ... -5.1049 eV per atom
Crystal system ... tetragonal
ΔE_f ... -0.869 eV per atom
Space-group type ... I-42m (121)

=====

Record 11
Computed, not measured: an optimized crystal structure of K2CdSe2O10 at the PBE level of DFT.

Structure (extended XYZ):
```
30
Lattice="6.943 0.000 0.000 2.420 6.978 0.000 2.822 1.503 10.482" Properties=species:S:1:pos:R:3 pbc="T T T"
K 2.341 2.016 0.871
K 4.758 5.667 4.476
K 7.427 2.814 6.006
K 9.844 6.465 9.611
Cd 3.950 1.316 7.940
Cd 8.235 7.165 2.542
Se 3.857 5.539 0.804
Se 3.594 2.171 4.310
Se 8.591 6.310 6.173
Se 8.328 2.942 9.678
O 2.442 3.232 3.784
O 3.430 6.580 2.077
O 2.547 4.653 0.312
O 3.105 1.506 5.780
O 5.734 5.891 7.844
O 7.241 8.023 10.031
O 5.229 3.311 7.686
O 3.728 0.907 3.191
O 5.113 2.910 4.460
O 5.136 4.576 1.307
O 7.049 3.905 9.175
O 7.072 5.571 6.022
O 8.457 7.574 7.291
O 6.956 5.171 2.797
O 4.945 0.458 0.451
O 6.451 2.590 2.638
O 9.080 6.975 4.702
O 9.639 3.828 10.170
O 8.755 1.901 8.406
O 9.743 5.249 6.698
```

Computed properties:
Electronic total energy ... -4.6425 eV per atom
Crystal system ... triclinic
ΔE_f ... -1.126 eV per atom
Space-group type ... P-1 (2)

=====

Record 12
Computed, not measured: an optimized crystal structure of La6Fe13Sn at the PBE level of DFT.

Structure (extended XYZ):
```
40
Lattice="-4.047 4.047 12.191 4.047 -4.047 12.191 4.047 4.047 -12.191" Properties=species:S:1:pos:R:3 pbc="T T T"
La 2.732 -1.315 4.452
La 0.000 0.000 2.544
La 5.362 -1.315 7.739
La 5.362 1.315 4.452
La 0.000 0.000 9.647
La 2.732 1.315 7.739
La 1.315 2.732 4.452
La 0.000 0.000 14.735
La -1.315 2.732 7.739
La -1.315 5.362 4.452
La 0.000 0.000 21.838
La 1.315 5.362 7.739
Fe 4.047 0.000 0.000
Fe 3.133 0.915 -2.200
Fe 1.692 0.544 0.000
Fe 5.490 1.443 -1.388
Fe 3.133 0.915 2.200
Fe 3.504 -2.355 12.191
Fe 5.490 1.443 1.388
Fe 1.443 2.605 -1.388
Fe 3.504 2.355 0.000
Fe 3.133 -0.915 9.991
Fe 1.443 2.605 1.388
Fe 1.692 -0.544 12.191
Fe 3.133 -0.915 14.391
Fe 0.000 4.047 0.000
Fe 0.915 4.962 -2.200
Fe 2.355 4.591 0.000
Fe 2.605 1.443 10.803
Fe 0.915 4.962 2.200
Fe 0.544 1.692 12.191
Fe 2.605 1.443 13.579
Fe -1.443 2.605 10.803
Fe 0.544 6.402 0.000
Fe 0.915 3.133 9.991
Fe -1.443 2.605 13.579
Fe 2.355 3.504 12.191
Fe 0.915 3.133 14.391
Sn 0.000 0.000 6.095
Sn 0.000 0.000 18.286
```

Computed properties:
Electronic total energy ... -7.2687 eV per atom
Crystal system ... tetragonal
ΔE_f ... -0.082 eV per atom
Space-group type ... I4/mcm (140)

=====

Record 13
Computed, not measured: an optimized crystal structure of SrLu at the PBE level of DFT.

Structure (extended XYZ):
```
2
Lattice="3.764 0.000 0.000 -1.882 3.260 0.000 0.000 0.000 6.277" Properties=species:S:1:pos:R:3 pbc="T T T"
Sr 0.000 0.000 0.000
Lu 0.000 2.173 3.138
```

Computed properties:
Electronic total energy ... -2.8086 eV per atom
Crystal system ... hexagonal
ΔE_f ... 0.297 eV per atom
Space-group type ... P-6m2 (187)

=====

Record 14
Computed, not measured: an optimized crystal structure of Cs2LiCrC6N6 at the PBE level of DFT.

Structure (extended XYZ):
```
16
Lattice="0.000 5.437 5.437 5.437 0.000 5.437 5.437 5.437 0.000" Properties=species:S:1:pos:R:3 pbc="T T T"
Cs 2.719 2.719 2.719
Cs 8.156 8.156 8.156
Li 0.000 0.000 0.000
Cr 5.437 5.437 5.437
C 5.437 5.437 3.400
C 5.437 3.400 5.437
C 7.475 5.437 5.437
C 3.400 5.437 5.437
C 5.437 7.475 5.437
C 5.437 5.437 7.475
N 5.437 5.437 2.224
N 5.437 2.224 5.437
N 8.651 5.437 5.437
N 2.224 5.437 5.437
N 5.437 8.651 5.437
N 5.437 5.437 8.651
```

Computed properties:
Electronic total energy ... -7.5616 eV per atom
Crystal system ... cubic
ΔE_f ... -0.276 eV per atom
Space-group type ... Fm-3m (225)

=====

Record 15
Computed, not measured: an optimized crystal structure of KUPH6O9 at the PBE level of DFT.

Structure (extended XYZ):
```
72
Lattice="18.079 0.000 0.000 0.000 7.089 0.000 0.000 0.000 7.128" Properties=species:S:1:pos:R:3 pbc="T T T"
K 3.278 0.178 0.000
K 5.761 3.723 3.564
K 12.317 3.366 0.000
K 14.800 6.910 3.564
U 0.907 1.764 4.279
U 8.133 5.308 0.715
U 9.946 1.781 4.279
U 17.172 5.325 0.715
P 0.012 5.322 4.292
P 9.027 1.778 0.728
P 9.051 5.311 4.292
P 18.067 1.766 0.728
H 2.476 3.034 1.516
H 2.599 4.551 5.436
H 2.705 6.085 3.209
H 3.292 5.020 2.213
H 3.358 3.796 0.486
H 4.145 4.512 5.722
H 4.894 0.968 2.158
H 5.682 0.251 4.050
H 5.748 1.476 5.777
H 6.334 2.540 6.773
H 6.441 1.007 1.872
H 6.564 6.578 5.080
H 11.515 0.511 1.516
H 11.638 6.082 5.436
H 11.744 4.548 3.209
H 12.331 5.612 2.213
H 12.397 6.837 0.486
H 13.184 6.121 5.722
H 13.934 2.576 2.158
H 14.721 3.293 4.050
H 14.787 2.068 5.777
H 15.374 1.004 6.773
H 15.480 2.537 1.872
H 15.603 4.055 5.080
O 0.873 1.759 6.583
O 0.909 5.373 0.661
O 0.923 4.065 4.325
O 0.949 1.754 1.952
O 0.955 6.557 4.313
O 2.726 1.775 4.345
O 3.291 4.782 6.096
O 3.364 3.434 1.409
O 3.483 5.897 2.646
O 5.556 2.352 6.210
O 5.676 6.978 4.973
O 5.749 1.237 2.531
O 6.313 5.319 0.781
O 8.085 3.013 0.749
O 8.091 5.299 5.516
O 8.116 0.520 0.761
O 8.130 1.829 4.225
O 8.166 5.304 3.019
O 9.912 1.785 6.583
O 9.949 5.259 0.661
O 9.962 6.568 4.325
O 9.988 1.790 1.952
O 9.994 4.076 4.313
O 11.766 1.769 4.345
O 12.330 5.851 6.096
O 12.403 0.110 1.409
O 12.523 4.736 2.646
O 14.595 1.192 6.210
O 14.715 3.655 4.973
O 14.788 2.307 2.531
O 15.352 5.314 0.781
O 17.124 0.531 0.749
O 17.130 5.334 5.516
O 17.156 3.024 0.761
O 17.169 1.715 4.225
O 17.206 5.329 3.019
```

Computed properties:
Electronic total energy ... -6.4375 eV per atom
Crystal system ... orthorhombic
ΔE_f ... -2.186 eV per atom
Space-group type ... Pna2_1 (33)